Entry from Materials Project: a geometry-optimized LiFeF6 structure (r²SCAN).

Cell and atoms, written as POSCAR:
```
LiFeF6
1.0
4.625 0.000 0.000
0.000 4.625 0.000
0.000 0.000 8.347
Li Fe F
2 2 12
direct
0.000 0.000 0.000 Li
0.500 0.500 0.500 Li
0.000 0.000 0.647 Fe
0.500 0.500 0.147 Fe
0.184 0.184 0.800 F
0.192 0.192 0.500 F
0.232 0.232 0.146 F
0.268 0.732 0.646 F
0.308 0.692 0.000 F
0.316 0.684 0.300 F
0.684 0.316 0.300 F
0.692 0.308 0.000 F
0.732 0.268 0.646 F
0.768 0.768 0.146 F
0.808 0.808 0.500 F
0.816 0.816 0.800 F
```

Properties
ΔH_f (0 K) in meV/atom: -2268

Entry from Materials Project: a geometry-optimized Er3FeSi3 structure (r²SCAN).

Cell and atoms, written as POSCAR:
```
Er3FeSi3
1.0
5.180 -2.056 0.000
5.180 2.056 0.000
-4.833 0.000 12.438
Er Fe Si
6 2 6
direct
0.025 0.025 0.380 Er
0.100 0.100 0.919 Er
0.249 0.249 0.230 Er
0.751 0.751 0.770 Er
0.900 0.900 0.081 Er
0.975 0.975 0.620 Er
0.253 0.253 0.584 Fe
0.747 0.747 0.416 Fe
0.354 0.354 0.456 Si
0.385 0.385 0.924 Si
0.444 0.444 0.757 Si
0.556 0.556 0.243 Si
0.615 0.615 0.076 Si
0.646 0.646 0.544 Si
```

Properties
ΔH_f (0 K) in meV/atom: -721

Entry from Materials Project: a geometry-optimized Mg3Sc2Si3O12 structure (r²SCAN).

Cell and atoms, written as POSCAR:
```
Mg3Sc2Si3O12
1.0
-5.929 5.929 5.929
5.929 -5.929 5.929
5.929 5.929 -5.929
Mg Sc Si O
12 8 12 48
direct
0.125 0.250 0.375 Mg
0.125 0.375 0.750 Mg
0.250 0.375 0.125 Mg
0.250 0.875 0.625 Mg
0.375 0.125 0.250 Mg
0.375 0.750 0.125 Mg
0.625 0.250 0.875 Mg
0.625 0.875 0.750 Mg
0.750 0.125 0.375 Mg
0.750 0.625 0.875 Mg
0.875 0.625 0.250 Mg
0.875 0.750 0.625 Mg
0.000 0.000 0.000 Sc
0.000 0.000 0.500 Sc
0.000 0.500 0.000 Sc
0.000 0.500 0.500 Sc
0.500 0.000 0.000 Sc
0.500 0.000 0.500 Sc
0.500 0.500 0.000 Sc
0.500 0.500 0.500 Sc
0.125 0.750 0.875 Si
0.125 0.875 0.250 Si
0.250 0.125 0.875 Si
0.250 0.625 0.375 Si
0.375 0.250 0.625 Si
0.375 0.625 0.750 Si
0.625 0.375 0.250 Si
0.625 0.750 0.375 Si
0.750 0.375 0.625 Si
0.750 0.875 0.125 Si
0.875 0.125 0.750 Si
0.875 0.250 0.125 Si
0.021 0.218 0.126 O
0.021 0.303 0.896 O
0.092 0.718 0.697 O
0.092 0.874 0.396 O
0.104 0.626 0.408 O
0.104 0.979 0.697 O
0.126 0.021 0.218 O
0.126 0.604 0.908 O
0.197 0.218 0.592 O
0.197 0.479 0.604 O
0.218 0.126 0.021 O
0.218 0.592 0.197 O
0.282 0.303 0.908 O
0.282 0.479 0.374 O
0.303 0.896 0.021 O
0.303 0.908 0.282 O
0.374 0.282 0.479 O
0.374 0.592 0.896 O
0.396 0.092 0.874 O
0.396 0.803 0.521 O
0.408 0.104 0.626 O
0.408 0.803 0.782 O
0.479 0.374 0.282 O
0.479 0.604 0.197 O
0.521 0.396 0.803 O
0.521 0.626 0.718 O
0.592 0.197 0.218 O
0.592 0.896 0.374 O
0.604 0.197 0.479 O
0.604 0.908 0.126 O
0.626 0.408 0.104 O
0.626 0.718 0.521 O
0.697 0.092 0.718 O
0.697 0.104 0.979 O
0.718 0.521 0.626 O
0.718 0.697 0.092 O
0.782 0.408 0.803 O
0.782 0.874 0.979 O
0.803 0.521 0.396 O
0.803 0.782 0.408 O
0.874 0.396 0.092 O
0.874 0.979 0.782 O
0.896 0.021 0.303 O
0.896 0.374 0.592 O
0.908 0.126 0.604 O
0.908 0.282 0.303 O
0.979 0.697 0.104 O
0.979 0.782 0.874 O
```

Properties
ΔH_f (0 K) in meV/atom: -3199

Entry from Materials Project: a geometry-optimized RbGa2P5O16 structure (r²SCAN).

Cell and atoms, written as POSCAR:
```
RbGa2P5O16
1.0
7.399 0.000 0.000
0.000 9.218 0.000
-3.823 0.000 9.441
Rb Ga P O
2 4 10 32
direct
0.000 0.203 0.000 Rb
0.000 0.797 0.500 Rb
0.380 0.138 0.795 Ga
0.380 0.862 0.295 Ga
0.938 0.369 0.402 Ga
0.938 0.631 0.902 Ga
0.124 0.415 0.735 P
0.124 0.585 0.235 P
0.287 0.126 0.464 P
0.287 0.874 0.964 P
0.524 0.457 0.775 P
0.524 0.543 0.275 P
0.577 0.294 0.135 P
0.577 0.706 0.635 P
0.626 0.137 0.393 P
0.626 0.863 0.893 P
0.009 0.465 0.821 O
0.009 0.535 0.321 O
0.047 0.464 0.583 O
0.047 0.536 0.083 O
0.153 0.254 0.753 O
0.153 0.746 0.253 O
0.167 0.262 0.418 O
0.167 0.738 0.918 O
0.234 0.012 0.348 O
0.234 0.988 0.848 O
0.300 0.063 0.604 O
0.300 0.937 0.104 O
0.335 0.493 0.806 O
0.335 0.507 0.306 O
0.476 0.229 0.994 O
0.476 0.771 0.494 O
0.493 0.454 0.133 O
0.493 0.546 0.633 O
0.503 0.215 0.246 O
0.503 0.785 0.746 O
0.508 0.177 0.486 O
0.508 0.823 0.986 O
0.527 0.298 0.746 O
0.527 0.702 0.246 O
0.621 0.024 0.865 O
0.621 0.976 0.365 O
0.694 0.479 0.390 O
0.694 0.521 0.890 O
0.795 0.296 0.197 O
0.795 0.704 0.697 O
0.826 0.198 0.458 O
0.826 0.802 0.958 O
```

Properties
ΔH_f (0 K) in meV/atom: -2372